Record 1
Computed, not measured: a relaxed MgFeSb4O12 crystal at the PBE+U level of DFT.

Summary:
- SG: P1, No. 1
- ΔH_f (0 K): -1.908 eV per atom
- Total energy after the MP2020 corrections: -6.68 eV/atom

```
MgFeSb4O12
1.0
-2.069 0.083 -5.071
6.351 -0.340 -8.983
3.356 -4.527 -7.842
O Sb Fe Mg
12 4 1 1
direct
0.353 0.295 0.120 O
0.367 0.832 0.104 O
0.621 0.210 0.848 O
0.127 0.824 0.695 O
0.728 0.880 0.355 O
0.845 0.676 0.276 O
0.230 0.130 0.605 O
0.737 0.368 0.371 O
0.105 0.313 0.744 O
0.604 0.673 0.867 O
0.859 0.192 0.227 O
0.257 0.608 0.630 O
0.957 0.499 0.004 Sb
0.490 0.507 0.467 Sb
0.012 0.000 0.972 Sb
0.480 0.995 0.504 Sb
0.273 0.001 0.271 Fe
0.693 0.503 0.695 Mg
```

=====

Record 2
Computed, not measured: a relaxed Ba2CeVO6 crystal at the PBE+U level of DFT.

Summary:
- SG: Fm-3m, No. 225
- ΔH_f (0 K): -3.171 eV per atom
- Total energy after the MP2020 corrections: -8.03 eV/atom

```
Ba2CeVO6
1.0
0.000 -4.223 -4.223
4.223 0.000 -4.223
4.223 -4.223 0.000
O Ba V Ce
6 2 1 1
direct
0.267 0.733 0.733 O
0.733 0.733 0.267 O
0.733 0.267 0.267 O
0.267 0.267 0.733 O
0.267 0.733 0.267 O
0.733 0.267 0.733 O
0.250 0.250 0.250 Ba
0.750 0.750 0.750 Ba
0.500 0.500 0.500 V
0.000 0.000 0.000 Ce
```

=====

What did the first record say?
Computed, not measured: a relaxed MgFeSb4O12 crystal at the PBE+U level of DFT.

Summary:
- SG: P1, No. 1
- ΔH_f (0 K): -1.908 eV per atom
- Total energy after the MP2020 corrections: -6.68 eV/atom

```
MgFeSb4O12
1.0
-2.069 0.083 -5.071
6.351 -0.340 -8.983
3.356 -4.527 -7.842
O Sb Fe Mg
12 4 1 1
direct
0.353 0.295 0.120 O
0.367 0.832 0.104 O
0.621 0.210 0.848 O
0.127 0.824 0.695 O
0.728 0.880 0.355 O
0.845 0.676 0.276 O
0.230 0.130 0.605 O
0.737 0.368 0.371 O
0.105 0.313 0.744 O
0.604 0.673 0.867 O
0.859 0.192 0.227 O
0.257 0.608 0.630 O
0.957 0.499 0.004 Sb
0.490 0.507 0.467 Sb
0.012 0.000 0.972 Sb
0.480 0.995 0.504 Sb
0.273 0.001 0.271 Fe
0.693 0.503 0.695 Mg
```

=====

Q: Which of these has the lowest total energy after the MP2020 corrections?
A: Ba2CeVO6

=====

Q: Which value of total energy after the MP2020 corrections does entry 2 give?
A: -8.03 eV/atom